# 1
The following is a DFT calculation (r²SCAN) of Ti7Cl16 after structural relaxation.

abc: 6.7939 10.1172 14.5190
angles: 90.00 90.00 90.00
Sites, in units of the cell vectors:
1 Ti 0.0000 0.0000 0.0000
2 Ti 0.5000 0.5000 0.5000
3 Ti 0.5000 0.5333 0.7604
4 Ti 0.5000 0.4667 0.2396
5 Ti 0.0000 0.0333 0.7396
6 Ti 0.0000 0.9667 0.2604
7 Ti 0.7006 0.7453 0.8619
8 Ti 0.7006 0.2547 0.1381
9 Ti 0.7994 0.2453 0.6381
10 Ti 0.7994 0.7547 0.3619
11 Ti 0.2994 0.2547 0.1381
12 Ti 0.2994 0.7453 0.8619
13 Ti 0.2006 0.7547 0.3619
14 Ti 0.2006 0.2453 0.6381
15 Cl 0.5000 0.7577 0.9932
16 Cl 0.5000 0.2423 0.0068
17 Cl 0.0000 0.2577 0.5068
18 Cl 0.0000 0.7423 0.4932
19 Cl 0.0000 0.7560 0.9796
20 Cl 0.0000 0.2440 0.0204
21 Cl 0.5000 0.2560 0.5204
22 Cl 0.5000 0.7440 0.4796
23 Cl 0.0000 0.7737 0.7511
24 Cl 0.0000 0.2263 0.2489
25 Cl 0.5000 0.2737 0.7489
26 Cl 0.5000 0.7263 0.2511
27 Cl 0.5000 0.7658 0.7256
28 Cl 0.5000 0.2342 0.2744
29 Cl 0.0000 0.2658 0.7744
30 Cl 0.0000 0.7342 0.2256
31 Cl 0.7489 0.9994 0.8683
32 Cl 0.7489 0.0006 0.1317
33 Cl 0.7511 0.4994 0.6317
34 Cl 0.7511 0.5006 0.3683
35 Cl 0.2511 0.0006 0.1317
36 Cl 0.2511 0.9994 0.8683
37 Cl 0.2489 0.5006 0.3683
38 Cl 0.2489 0.4994 0.6317
39 Cl 0.7515 0.5156 0.8724
40 Cl 0.7515 0.4844 0.1276
41 Cl 0.7485 0.0156 0.6276
42 Cl 0.7485 0.9844 0.3724
43 Cl 0.2485 0.4844 0.1276
44 Cl 0.2485 0.5156 0.8724
45 Cl 0.2515 0.9844 0.3724
46 Cl 0.2515 0.0156 0.6276

Calculated values
The size of the total moment is 8.0 μB/cell. Its total energy is -9.964 eV/atom.

---

# 2
The following is a DFT calculation (r²SCAN) of Y3Er after structural relaxation.

abc: 7.3211 7.3211 5.6332
angles: 90.00 90.00 120.00
Sites, in units of the cell vectors:
1 Y 0.1677 0.3354 0.2500
2 Y 0.6646 0.8323 0.2500
3 Y 0.1677 0.8323 0.2500
4 Y 0.8323 0.6645 0.7500
5 Y 0.3355 0.1677 0.7500
6 Y 0.8323 0.1677 0.7500
7 Er 0.3333 0.6667 0.7500
8 Er 0.6667 0.3333 0.2500

Calculated values
The size of the total moment is 0.0 μB/cell. Its total energy is -23.679 eV/atom.

---

Number 1: ΔE_f -1.747 eV per atom. Number 2: ΔE_f 0.037 eV per atom.